Compound: Li32Mn3Cr13O48
Source: the Materials Project
Functional: PBE with a Hubbard U
Structure: relaxed

a b c (Å): 5.0198 8.7254 19.4747
angles (deg): 82.11 85.27 89.36
With the nearest neighbours (Å) after each atom.
Fractional coordinates of all 96 atoms:
1 Li 0.0000 0.0000 0.0000  6 O 2.08-2.16
2 Li 0.0002 0.0000 0.5000  6 O 2.07-2.15
3 Li 0.1148 0.7931 0.1253  6 O 2.07-2.20
4 Li 0.1177 0.7930 0.6251  6 O 2.06-2.19
5 Li 0.1225 0.1234 0.6248  6 O 2.03-2.21
6 Li 0.1244 0.1235 0.1248  6 O 2.04-2.21
7 Li 0.1333 0.4545 0.1250  6 O 2.06-2.24
8 Li 0.1326 0.4552 0.6250  6 O 2.06-2.23
9 Li 0.2485 0.2487 0.7500  6 O 2.08-2.13
10 Li 0.2486 0.2489 0.2498  6 O 2.08-2.14
11 Li 0.3642 0.0440 0.3750  6 O 2.05-2.22
12 Li 0.3637 0.0446 0.8745  6 O 2.04-2.26
13 Li 0.3724 0.3740 0.8750  6 O 2.05-2.21
14 Li 0.3732 0.3732 0.3749  6 O 2.04-2.21
15 Li 0.3789 0.7034 0.8748  6 O 2.06-2.20
16 Li 0.3792 0.7038 0.3752  6 O 2.06-2.21
17 Li 0.4965 0.4979 0.9998  6 O 2.08-2.16
18 Li 0.4986 0.4993 0.4997  6 O 2.08-2.15
19 Li 0.6123 0.2918 0.1253  6 O 2.05-2.25
20 Li 0.6126 0.2924 0.6251  6 O 2.04-2.24
21 Li 0.6214 0.6233 0.1254  6 O 2.05-2.20
22 Li 0.6207 0.6236 0.6250  6 O 2.05-2.20
23 Li 0.6318 0.9562 0.6242  6 O 2.04-2.25
24 Li 0.6337 0.9561 0.1244  6 O 2.04-2.25
25 Li 0.7489 0.7493 0.7498  6 O 2.08-2.14
26 Li 0.7500 0.7496 0.2499  6 O 2.07-2.14
27 Li 0.8678 0.5448 0.3746  6 O 2.04-2.22
28 Li 0.8689 0.5450 0.8747  6 O 2.05-2.21
29 Li 0.8698 0.8738 0.3750  6 O 2.05-2.20
30 Li 0.8719 0.8748 0.8745  6 O 2.04-2.20
31 Li 0.8825 0.2031 0.8752  6 O 2.05-2.24
32 Li 0.8836 0.2039 0.3750  6 O 2.04-2.23
33 Mn 0.2477 0.5825 0.2499  6 O 1.92-1.95
34 Mn 0.2491 0.5826 0.7494  6 O 1.93-1.95
35 Mn 0.4970 0.8321 0.5001  6 O 1.92-1.95
36 Cr 0.0006 0.6711 0.9990  6 O 1.88-2.00
37 Cr 0.0040 0.6687 0.4994  6 O 1.91-1.99
38 Cr 0.2494 0.9115 0.7504  6 O 1.90-2.00
39 Cr 0.2514 0.9119 0.2503  6 O 1.89-2.00
40 Cr 0.4945 0.8268 0.0009  6 O 1.88-2.00
41 Cr 0.5023 0.1621 0.5003  6 O 1.89-2.00
42 Cr 0.5035 0.1626 0.0002  6 O 1.89-2.00
43 Cr 0.7405 0.0846 0.7506  6 O 1.88-1.99
44 Cr 0.7424 0.0850 0.2501  6 O 1.89-1.99
45 Cr 0.7558 0.4175 0.2494  6 O 1.90-2.00
46 Cr 0.7576 0.4166 0.7495  6 O 1.88-2.01
47 Cr 0.9932 0.3355 0.9996  6 O 1.89-2.00
48 Cr 0.9935 0.3355 0.5000  6 O 1.89-1.99
49 O 0.0481 0.0502 0.3072  2 Cr 1.96-1.97, 4 Li 2.05-2.14
50 O 0.0475 0.0514 0.8074  2 Cr 1.97-1.98, 4 Li 2.04-2.13
51 O 0.0527 0.4107 0.8053  1 Cr 1.90, 1 Mn 1.95, 2 Li 2.06-2.08
52 O 0.0542 0.4102 0.3054  1 Cr 1.92, 1 Mn 1.95, 2 Li 2.07-2.08
53 O 0.0841 0.7274 0.3063  1 Mn 1.92, 1 Cr 1.97, 2 Li 2.07
54 O 0.0851 0.7283 0.8061  1 Mn 1.93, 1 Cr 1.95, 2 Li 2.06-2.08
55 O 0.1556 0.5211 0.4437  2 Cr 1.91-1.97, 2 Li 2.04-2.11
56 O 0.1597 0.5212 0.9437  2 Cr 1.93-1.98, 2 Li 2.05-2.08
57 O 0.1854 0.8362 0.9438  2 Cr 1.88-1.98, 2 Li 2.07-2.08
58 O 0.1961 0.1970 0.9428  2 Cr 1.97-1.98, 4 Li 2.05-2.13
59 O 0.1956 0.8391 0.4441  1 Cr 1.93, 1 Mn 1.93, 2 Li 2.06-2.08
60 O 0.1992 0.1967 0.4426  2 Cr 1.96-1.98, 4 Li 2.04-2.14
61 O 0.2978 0.2996 0.5571  2 Cr 1.96-1.97, 4 Li 2.04-2.15
62 O 0.2997 0.3005 0.0569  2 Cr 1.97, 4 Li 2.05-2.13
63 O 0.3058 0.6603 0.5558  1 Cr 1.94, 1 Mn 1.94, 3 Li 2.06-2.15
64 O 0.3105 0.6613 0.0562  2 Cr 1.88-1.98, 2 Li 2.07-2.08
65 O 0.3338 0.9774 0.5565  1 Mn 1.92, 1 Cr 1.98, 2 Li 2.06-2.07
66 O 0.3380 0.9766 0.0562  2 Cr 1.93-1.98, 2 Li 2.06-2.09
67 O 0.4085 0.7659 0.1944  1 Cr 1.91, 1 Mn 1.95, 2 Li 2.07-2.09
68 O 0.4096 0.7654 0.6944  1 Cr 1.92, 1 Mn 1.94, 2 Li 2.06-2.08
69 O 0.4427 0.4462 0.1927  1 Mn 1.94, 1 Cr 1.99, 4 Li 2.05-2.13
70 O 0.4434 0.4459 0.6929  1 Mn 1.93, 1 Cr 1.99, 4 Li 2.06-2.13
71 O 0.4519 0.0876 0.6940  2 Cr 1.89-2.00, 2 Li 2.04-2.10
72 O 0.4534 0.0882 0.1936  2 Cr 1.89-2.00, 2 Li 2.04-2.10
73 O 0.5424 0.9092 0.3062  2 Cr 1.89-1.99, 2 Li 2.05-2.10
74 O 0.5417 0.9088 0.8066  2 Cr 1.90-1.98, 2 Li 2.04-2.11
75 O 0.5495 0.5501 0.3066  1 Mn 1.94, 1 Cr 1.95, 4 Li 2.05-2.15
76 O 0.5498 0.5502 0.8066  1 Mn 1.94, 1 Cr 1.96, 4 Li 2.05-2.16
77 O 0.5899 0.2282 0.8065  2 Cr 1.88-2.01, 2 Li 2.06-2.11
78 O 0.5913 0.2292 0.3062  2 Cr 1.89-2.00, 2 Li 2.06-2.11
79 O 0.6547 0.0180 0.9444  2 Cr 1.89-2.00, 2 Li 2.07-2.11
80 O 0.6574 0.0161 0.4443  1 Cr 1.91, 1 Mn 1.95, 2 Li 2.07-2.10
81 O 0.6891 0.7010 0.9420  2 Cr 1.90-1.99, 2 Li 2.04-2.11
82 O 0.6912 0.6967 0.4427  1 Mn 1.94, 1 Cr 1.99, 4 Li 2.05-2.14
83 O 0.7034 0.3399 0.9435  2 Cr 1.89-2.00, 2 Li 2.05-2.09
84 O 0.7036 0.3380 0.4435  2 Cr 1.89-2.00, 2 Li 2.04-2.11
85 O 0.7926 0.1590 0.5563  2 Cr 1.89-1.99, 2 Li 2.04-2.10
86 O 0.7936 0.1579 0.0561  2 Cr 1.89-2.00, 2 Li 2.05-2.09
87 O 0.7993 0.8003 0.5568  1 Cr 1.94, 1 Mn 1.94, 4 Li 2.05-2.16
88 O 0.8070 0.7972 0.0578  2 Cr 1.90-1.99, 2 Li 2.05-2.11
89 O 0.8411 0.4804 0.5559  2 Cr 1.89-1.99, 2 Li 2.06-2.11
90 O 0.8415 0.4802 0.0553  2 Cr 1.89-2.00, 2 Li 2.07-2.11
91 O 0.9042 0.2718 0.6936  2 Cr 1.88-1.99, 1 Li 2.05
92 O 0.9052 0.2714 0.1935  2 Cr 1.90-1.98, 2 Li 2.05-2.11
93 O 0.9476 0.5902 0.1936  1 Mn 1.93, 1 Cr 1.95, 2 Li 2.06-2.08
94 O 0.9490 0.5914 0.6935  1 Mn 1.93, 1 Cr 1.96, 2 Li 2.06-2.08
95 O 0.9497 0.9474 0.1927  2 Cr 1.95-1.98, 4 Li 2.04-2.15
96 O 0.9500 0.9483 0.6931  2 Cr 1.94-1.98, 4 Li 2.03-2.16

Results
Its space group is P1. Its crystal system is triclinic. For the formation energy from the elements, the calculation gives -213.44 eV per formula unit.